No. 1
Here is EuMgVO3 after structural relaxation from the Materials Project database. Energies are from PBE with a Hubbard U.

Spin magnetization in μB per formula unit: 9.828
Formation energy in eV per atom: -2.3920
Space-group type: P1, No. 1
Electronic total energy in eV per atom: -7.729
E above lowest polymorph in eV/atom: 0.000

Cell: 3.360 4.080 7.124 Å, 95.59 91.83 90.10°
Positions (direct):
1 Eu 0.000 0.000 0.000
2 Mg 0.034 0.103 0.490
3 V 0.519 0.569 0.295
4 O 0.029 0.597 0.450
5 O 0.494 0.539 0.019
6 O 0.521 0.074 0.311

No. 2
Here is NaEuMn4O12 after structural relaxation from the Materials Project database. Energies are from PBE with a Hubbard U.

Spin magnetization in μB per formula unit: 13.998
Formation energy in eV per atom: -1.5919
Space-group type: Amm2, No. 38
Electronic total energy in eV per atom: -6.741

Cell: 7.567 5.258 5.258 Å, 88.02 90.00 90.00°
Positions (direct):
1 Na 0.000 0.000 0.000
2 Eu 0.500 0.529 0.529
3 Mn 0.243 0.019 0.516
4 Mn 0.243 0.516 0.019
5 Mn 0.757 0.019 0.516
6 Mn 0.757 0.516 0.019
7 O 0.000 0.576 0.962
8 O 0.000 0.962 0.576
9 O 0.200 0.213 0.213
10 O 0.255 0.319 0.708
11 O 0.255 0.708 0.319
12 O 0.310 0.802 0.802
13 O 0.500 0.066 0.453
14 O 0.500 0.453 0.066
15 O 0.690 0.802 0.802
16 O 0.745 0.319 0.708
17 O 0.745 0.708 0.319
18 O 0.800 0.213 0.213

No. 3
Here is NaSrEuMnO6 after structural relaxation from the Materials Project database. Energies are from PBE with a Hubbard U.

Spin magnetization in μB per formula unit: 7.000
Formation energy in eV per atom: -2.1239
Space-group type: F-43m, No. 216
Electronic total energy in eV per atom: -6.757

Cell: 5.664 5.664 5.664 Å, 60.00 60.00 60.00°
Positions (direct):
1 Na 0.000 0.000 0.000
2 Sr 0.250 0.250 0.250
3 Eu 0.750 0.750 0.750
4 Mn 0.500 0.500 0.500
5 O 0.266 0.266 0.734
6 O 0.266 0.734 0.266
7 O 0.266 0.734 0.734
8 O 0.734 0.266 0.266
9 O 0.734 0.266 0.734
10 O 0.734 0.734 0.266

No. 4
Here is Eu8Mn3Nb5O28 after structural relaxation from the Materials Project database. Energies are from PBE with a Hubbard U.

Spin magnetization in μB per formula unit: 62.000
Formation energy in eV per atom: -3.0604
Space-group type: C2, No. 5
Electronic total energy in eV per atom: -9.296

Cell: 7.688 7.688 11.982 Å, 99.57 99.57 60.52°
Positions (direct):
1 Eu 0.115 0.115 0.216
2 Eu 0.131 0.616 0.245
3 Eu 0.379 0.373 0.749
4 Eu 0.384 0.869 0.755
5 Eu 0.627 0.621 0.251
6 Eu 0.628 0.135 0.272
7 Eu 0.865 0.372 0.728
8 Eu 0.885 0.885 0.784
9 Mn 0.329 0.671 0.000
10 Mn 0.438 0.562 0.500
11 Mn 0.727 0.273 0.000
12 Nb 0.012 0.988 0.500
13 Nb 0.241 0.241 0.993
14 Nb 0.496 0.006 0.505
15 Nb 0.759 0.759 0.007
16 Nb 0.994 0.504 0.495
17 O 0.002 0.976 0.332
18 O 0.015 0.566 0.661
19 O 0.018 0.199 0.012
20 O 0.024 0.998 0.668
21 O 0.041 0.559 0.021
22 O 0.118 0.675 0.469
23 O 0.196 0.235 0.821
24 O 0.244 0.713 0.845
25 O 0.287 0.756 0.155
26 O 0.311 0.264 0.161
27 O 0.313 0.288 0.525
28 O 0.325 0.882 0.531
29 O 0.434 0.985 0.339
30 O 0.435 0.360 0.971
31 O 0.441 0.959 0.979
32 O 0.472 0.480 0.342
33 O 0.520 0.528 0.658
34 O 0.564 0.009 0.678
35 O 0.640 0.565 0.029
36 O 0.712 0.687 0.475
37 O 0.724 0.249 0.836
38 O 0.731 0.043 0.482
39 O 0.736 0.689 0.839
40 O 0.751 0.276 0.164
41 O 0.765 0.804 0.179
42 O 0.801 0.982 0.988
43 O 0.957 0.269 0.518
44 O 0.991 0.436 0.322

No. 5
Here is EuMn2O5 after structural relaxation from the Materials Project database. Energies are from PBE with a Hubbard U.

Formation energy in eV per atom: -2.3833
Space-group type: Pbam, No. 55
Electronic total energy in eV per atom: -8.202

Cell: 7.544 8.680 5.834 Å, 90.00 90.00 90.00°
Positions (direct):
1 Eu 0.141 0.171 0.000
2 Eu 0.359 0.671 0.000
3 Eu 0.641 0.329 0.000
4 Eu 0.859 0.829 0.000
5 Mn 0.000 0.500 0.255
6 Mn 0.000 0.500 0.745
7 Mn 0.093 0.851 0.500
8 Mn 0.407 0.351 0.500
9 Mn 0.500 0.000 0.255
10 Mn 0.500 0.000 0.745
11 Mn 0.593 0.649 0.500
12 Mn 0.907 0.149 0.500
13 O 0.000 0.000 0.279
14 O 0.000 0.000 0.721
15 O 0.102 0.706 0.248
16 O 0.102 0.706 0.752
17 O 0.151 0.432 0.500
18 O 0.157 0.446 0.000
19 O 0.343 0.946 0.000
20 O 0.349 0.932 0.500
21 O 0.398 0.206 0.248
22 O 0.398 0.206 0.752
23 O 0.500 0.500 0.279
24 O 0.500 0.500 0.721
25 O 0.602 0.794 0.248
26 O 0.602 0.794 0.752
27 O 0.651 0.068 0.500
28 O 0.657 0.054 0.000
29 O 0.843 0.554 0.000
30 O 0.849 0.568 0.500
31 O 0.898 0.294 0.248
32 O 0.898 0.294 0.752

No. 6
Here is Eu2MnRhO6 after structural relaxation from the Materials Project database. Energies are from PBE with a Hubbard U.

Spin magnetization in μB per formula unit: 16.000
Formation energy in eV per atom: -2.4212
Space-group type: P2_1/c, No. 14
Electronic total energy in eV per atom: -8.515

Cell: 5.544 5.755 9.434 Å, 90.00 125.29 90.00°
Positions (direct):
1 Eu 0.236 0.059 0.250
2 Eu 0.236 0.441 0.750
3 Eu 0.764 0.559 0.250
4 Eu 0.764 0.941 0.750
5 Mn 0.500 0.000 0.000
6 Mn 0.500 0.500 0.500
7 Rh 0.000 0.000 0.500
8 Rh 0.000 0.500 0.000
9 O 0.146 0.202 0.952
10 O 0.146 0.298 0.452
11 O 0.253 0.697 0.952
12 O 0.253 0.803 0.452
13 O 0.351 0.029 0.755
14 O 0.351 0.471 0.255
15 O 0.649 0.529 0.745
16 O 0.649 0.971 0.245
17 O 0.747 0.197 0.548
18 O 0.747 0.303 0.048
19 O 0.854 0.702 0.548
20 O 0.854 0.798 0.048

No. 7
Here is Eu2Mn3Sb3O14 after structural relaxation from the Materials Project database. Energies are from PBE with a Hubbard U.

Spin magnetization in μB per formula unit: 26.000
Formation energy in eV per atom: -2.2937
Space-group type: C2/m, No. 12
Electronic total energy in eV per atom: -7.523

Cell: 7.245 7.245 7.352 Å, 119.48 119.48 60.30°
Positions (direct):
1 Eu 0.000 0.000 0.000
2 Eu 0.000 0.000 0.500
3 Mn 0.000 0.500 0.500
4 Mn 0.500 0.000 0.500
5 Mn 0.500 0.500 0.000
6 Sb 0.000 0.500 0.000
7 Sb 0.500 0.000 0.000
8 Sb 0.500 0.500 0.500
9 O 0.140 0.140 0.389
10 O 0.170 0.170 0.921
11 O 0.170 0.577 0.325
12 O 0.178 0.574 0.928
13 O 0.423 0.830 0.675
14 O 0.425 0.425 0.674
15 O 0.426 0.822 0.072
16 O 0.574 0.178 0.928
17 O 0.575 0.575 0.326
18 O 0.577 0.170 0.325
19 O 0.822 0.426 0.072
20 O 0.830 0.423 0.675
21 O 0.830 0.830 0.079
22 O 0.860 0.860 0.611

No. 8
Here is SmEuMn4O12 after structural relaxation from the Materials Project database. Energies are from PBE with a Hubbard U.

Spin magnetization in μB per formula unit: 10.238
Formation energy in eV per atom: -1.5942
Space-group type: P4/mmm, No. 123
Electronic total energy in eV per atom: -6.932

Cell: 5.566 5.566 7.860 Å, 90.00 90.00 90.00°
Positions (direct):
1 Sm 0.000 0.000 0.000
2 Eu 0.500 0.500 0.500
3 Mn 0.000 0.500 0.250
4 Mn 0.000 0.500 0.750
5 Mn 0.500 0.000 0.250
6 Mn 0.500 0.000 0.750
7 O 0.000 0.500 0.000
8 O 0.000 0.500 0.500
9 O 0.249 0.249 0.249
10 O 0.249 0.249 0.751
11 O 0.249 0.751 0.249
12 O 0.249 0.751 0.751
13 O 0.500 0.000 0.000
14 O 0.500 0.000 0.500
15 O 0.751 0.249 0.249
16 O 0.751 0.249 0.751
17 O 0.751 0.751 0.249
18 O 0.751 0.751 0.751

No. 9
Here is EuMnSnWO6 after structural relaxation from the Materials Project database. Energies are from PBE with a Hubbard U.

Spin magnetization in μB per formula unit: 12.000
Formation energy in eV per atom: -2.2337
Space-group type: F-43m, No. 216
Electronic total energy in eV per atom: -7.818

Cell: 5.765 5.765 5.765 Å, 60.00 60.00 60.00°
Positions (direct):
1 Eu 0.000 0.000 0.000
2 Mn 0.750 0.750 0.750
3 Sn 0.500 0.500 0.500
4 W 0.250 0.250 0.250
5 O 0.011 0.011 0.489
6 O 0.011 0.489 0.011
7 O 0.011 0.489 0.489
8 O 0.489 0.011 0.011
9 O 0.489 0.011 0.489
10 O 0.489 0.489 0.011

No. 10
Here is Eu3YMn4O12 after structural relaxation from the Materials Project database. Energies are from PBE with a Hubbard U.

Spin magnetization in μB per formula unit: 34.000
Formation energy in eV per atom: -2.7408
Space-group type: Pm, No. 6
Electronic total energy in eV per atom: -8.658

Cell: 5.421 7.717 5.636 Å, 90.00 90.57 90.00°
Positions (direct):
1 Eu 0.000 0.000 0.000
2 Eu 0.025 0.500 0.106
3 Eu 0.524 0.000 0.504
4 Y 0.499 0.500 0.619
5 Mn 0.012 0.252 0.554
6 Mn 0.012 0.748 0.554
7 Mn 0.515 0.251 0.056
8 Mn 0.515 0.749 0.056
9 O 0.092 0.000 0.574
10 O 0.224 0.298 0.844
11 O 0.224 0.702 0.844
12 O 0.310 0.301 0.360
13 O 0.310 0.699 0.360
14 O 0.434 0.000 0.075
15 O 0.593 0.500 0.024
16 O 0.720 0.213 0.754
17 O 0.720 0.787 0.754
18 O 0.813 0.210 0.257
19 O 0.813 0.790 0.257
20 O 0.913 0.500 0.535

No. 11
Here is NaEuMo2O8 after structural relaxation from the Materials Project database. Energies are from PBE with a Hubbard U.

Spin magnetization in μB per formula unit: 5.999
Formation energy in eV per atom: -2.3368
Space-group type: C2, No. 5
Electronic total energy in eV per atom: -7.416

Cell: 6.877 6.877 5.288 Å, 112.54 112.54 113.49°
Positions (direct):
1 Na 0.000 0.000 0.000
2 Eu 0.752 0.248 0.500
3 Mo 0.251 0.749 0.500
4 Mo 0.500 0.500 0.000
5 O 0.014 0.680 0.105
6 O 0.097 0.427 0.423
7 O 0.175 0.350 0.914
8 O 0.320 0.986 0.895
9 O 0.447 0.269 0.619
10 O 0.573 0.903 0.577
11 O 0.650 0.825 0.086
12 O 0.731 0.553 0.381

No. 12
Here is NaEuMo2O8 after structural relaxation from the Materials Project database. Energies are from PBE with a Hubbard U.

Spin magnetization in μB per formula unit: 6.000
Formation energy in eV per atom: -2.3377
Space-group type: I-4, No. 82
Electronic total energy in eV per atom: -7.417

Cell: 6.940 6.940 6.940 Å, 134.68 134.68 66.02°
Positions (direct):
1 Na 0.000 0.000 0.000
2 Eu 0.250 0.750 0.500
3 Mo 0.500 0.500 0.000
4 Mo 0.750 0.250 0.500
5 O 0.268 0.173 0.614
6 O 0.346 0.732 0.905
7 O 0.429 0.325 0.420
8 O 0.560 0.654 0.386
9 O 0.675 0.094 0.104
10 O 0.827 0.440 0.095
11 O 0.906 0.009 0.580
12 O 0.991 0.571 0.896

No. 13
Here is EuMoO5 after structural relaxation from the Materials Project database. Energies are from PBE with a Hubbard U.

Spin magnetization in μB per formula unit: 6.794
Formation energy in eV per atom: -2.1946
Space-group type: P2_1/c, No. 14
Electronic total energy in eV per atom: -7.795

Cell: 5.380 12.728 6.961 Å, 90.00 114.22 90.00°
Positions (direct):
1 Eu 0.137 0.056 0.291
2 Eu 0.137 0.444 0.791
3 Eu 0.863 0.556 0.209
4 Eu 0.863 0.944 0.709
5 Mo 0.413 0.141 0.859
6 Mo 0.413 0.359 0.359
7 Mo 0.587 0.641 0.641
8 Mo 0.587 0.859 0.141
9 O 0.003 0.090 0.562
10 O 0.003 0.410 0.062
11 O 0.214 0.063 0.970
12 O 0.214 0.437 0.470
13 O 0.269 0.656 0.425
14 O 0.269 0.844 0.925
15 O 0.296 0.229 0.289
16 O 0.296 0.271 0.789
17 O 0.498 0.573 0.841
18 O 0.498 0.927 0.341
19 O 0.502 0.073 0.659
20 O 0.502 0.427 0.159
21 O 0.704 0.729 0.211
22 O 0.704 0.771 0.711
23 O 0.731 0.156 0.075
24 O 0.731 0.344 0.575
25 O 0.786 0.563 0.530
26 O 0.786 0.937 0.030
27 O 0.997 0.590 0.938
28 O 0.997 0.910 0.438

No. 14
Here is EuMoO2 after structural relaxation from the Materials Project database. Energies are from PBE with a Hubbard U.

Spin magnetization in μB per formula unit: 10.604
Formation energy in eV per atom: -1.9901
Space-group type: I4_1/amd, No. 141
Electronic total energy in eV per atom: -8.596

Cell: 7.610 7.610 7.610 Å, 129.28 129.28 74.56°
Positions (direct):
1 Eu 0.000 0.000 0.000
2 Eu 0.000 0.000 0.500
3 Eu 0.000 0.500 0.000
4 Eu 0.500 0.000 0.500
5 Mo 0.000 0.500 0.500
6 Mo 0.500 0.000 0.000
7 Mo 0.500 0.500 0.000
8 Mo 0.500 0.500 0.500
9 O 0.208 0.237 0.530
10 O 0.208 0.678 0.970
11 O 0.237 0.208 0.030
12 O 0.322 0.792 0.530
13 O 0.678 0.208 0.470
14 O 0.763 0.792 0.970
15 O 0.792 0.322 0.030
16 O 0.792 0.763 0.470

No. 15
Here is Eu5Mo2O12 after structural relaxation from the Materials Project database. Energies are from PBE with a Hubbard U.

Spin magnetization in μB per formula unit: 30.736
Formation energy in eV per atom: -2.8559
Space-group type: C2/m, No. 12
Electronic total energy in eV per atom: -9.051

Cell: 7.058 7.058 7.858 Å, 106.27 106.27 49.71°
Positions (direct):
1 Eu 0.000 0.000 0.000
2 Eu 0.307 0.307 0.136
3 Eu 0.315 0.315 0.678
4 Eu 0.685 0.685 0.322
5 Eu 0.693 0.693 0.864
6 Mo 0.226 0.774 0.500
7 Mo 0.774 0.226 0.500
8 O 0.001 0.001 0.692
9 O 0.095 0.593 0.921
10 O 0.097 0.590 0.422
11 O 0.407 0.905 0.079
12 O 0.410 0.903 0.578
13 O 0.500 0.500 0.330
14 O 0.500 0.500 0.670
15 O 0.590 0.097 0.422
16 O 0.593 0.095 0.921
17 O 0.903 0.410 0.578
18 O 0.905 0.407 0.079
19 O 0.999 0.999 0.308